# 1
! SrPH10S3O5, relaxed, DFT PBE-GGA; values from VASP
! * MP2020-corrected energy: -5.2051 eV/atom
! * total moment: 0.000 μB/atom
! * SG: P-1, No. 2
! * ΔH_f (0 K): -25.9 eV/f.u.
! * DFT total energy: -4.958 eV per atom
&SYSTEM
  ibrav = 0, nat = 80, ntyp = 5
/
ATOMIC_SPECIES
S 32.06 S.upf
Sr 87.62 Sr.upf
H 1.01 H.upf
O 16.00 O.upf
P 30.97 P.upf
ATOMIC_POSITIONS crystal
S 0.211 0.085 0.466
S 0.460 0.793 0.356
S 0.991 0.781 0.999
S 0.453 0.780 0.613
S 0.236 0.479 0.157
S 0.547 0.220 0.387
S 0.764 0.521 0.843
S 0.540 0.207 0.644
S 0.231 0.457 0.894
S 0.009 0.219 0.001
S 0.789 0.915 0.534
S 0.769 0.543 0.106
Sr 0.005 0.503 0.323
Sr 0.482 0.993 0.818
Sr 0.518 0.007 0.182
Sr 0.995 0.497 0.677
H 0.166 0.118 0.151
H 0.772 0.918 0.027
H 0.781 0.916 0.729
H 0.523 0.710 0.067
H 0.851 0.183 0.694
H 0.163 0.716 0.534
H 0.257 0.917 0.983
H 0.363 0.573 0.412
H 0.108 0.840 0.733
H 0.369 0.682 0.115
H 0.062 0.758 0.830
H 0.743 0.083 0.017
H 0.563 0.671 0.858
H 0.477 0.290 0.933
H 0.437 0.329 0.142
H 0.797 0.972 0.365
H 0.203 0.028 0.635
H 0.637 0.427 0.588
H 0.390 0.673 0.885
H 0.938 0.242 0.170
H 0.364 0.403 0.404
H 0.149 0.817 0.306
H 0.717 0.535 0.435
H 0.886 0.911 0.278
H 0.837 0.284 0.466
H 0.228 0.082 0.973
H 0.636 0.597 0.596
H 0.834 0.882 0.849
H 0.631 0.318 0.885
H 0.892 0.160 0.267
H 0.336 0.361 0.656
H 0.954 0.226 0.805
H 0.219 0.084 0.271
H 0.610 0.327 0.115
H 0.046 0.774 0.195
H 0.114 0.089 0.722
H 0.664 0.639 0.344
H 0.025 0.262 0.493
H 0.975 0.738 0.507
H 0.283 0.465 0.565
O 0.231 0.054 0.199
O 0.929 0.254 0.245
O 0.480 0.737 0.874
O 0.520 0.263 0.126
O 0.043 0.776 0.271
O 0.057 0.664 0.512
O 0.957 0.224 0.729
O 0.310 0.008 0.971
O 0.261 0.439 0.635
O 0.192 0.016 0.710
O 0.442 0.759 0.098
O 0.071 0.746 0.755
O 0.739 0.561 0.365
O 0.699 0.515 0.577
O 0.808 0.984 0.290
O 0.301 0.485 0.423
O 0.769 0.946 0.801
O 0.558 0.241 0.902
O 0.943 0.336 0.488
O 0.690 0.992 0.029
P 0.107 0.426 0.011
P 0.454 0.114 0.498
P 0.893 0.574 0.989
P 0.546 0.886 0.502
CELL_PARAMETERS angstrom
-6.980 -3.776 2.979
4.768 -7.978 0.217
5.396 3.968 11.049

# 2
! Na6HfHS5O21, relaxed, DFT PBE-GGA; values from VASP
! * MP2020-corrected energy: -6.4669 eV/atom
! * total moment: 0.029 μB/atom
! * SG: P2_1, No. 4
! * ΔH_f (0 K): -74.0 eV/f.u.
! * DFT total energy: -6.043 eV per atom
&SYSTEM
  ibrav = 0, nat = 68, ntyp = 5
/
ATOMIC_SPECIES
Na 22.99 Na.upf
O 16.00 O.upf
S 32.06 S.upf
H 1.01 H.upf
Hf 178.49 Hf.upf
ATOMIC_POSITIONS crystal
Na 0.058 0.862 0.927
Na 0.174 0.942 0.492
Na 0.558 0.138 0.073
Na 0.821 0.524 0.949
Na 0.951 0.962 0.242
Na 0.660 0.673 0.713
Na 0.160 0.327 0.287
Na 0.451 0.038 0.758
Na 0.997 0.590 0.468
Na 0.497 0.410 0.532
Na 0.321 0.476 0.051
Na 0.674 0.058 0.508
O 0.961 0.373 0.369
O 0.911 0.196 0.553
O 0.161 0.311 0.040
O 0.418 0.289 0.205
O 0.190 0.581 0.187
O 0.411 0.804 0.447
O 0.032 0.112 0.384
O 0.473 0.823 0.907
O 0.318 0.839 0.643
O 0.807 0.188 0.795
O 0.475 0.026 0.254
O 0.307 0.812 0.205
O 0.148 0.155 0.629
O 0.690 0.419 0.813
O 0.973 0.177 0.093
O 0.797 0.875 0.646
O 0.347 0.264 0.674
O 0.637 0.251 0.654
O 0.939 0.446 0.659
O 0.481 0.635 0.093
O 0.297 0.125 0.354
O 0.580 0.869 0.099
O 0.080 0.131 0.901
O 0.000 0.800 0.589
O 0.981 0.365 0.907
O 0.500 0.200 0.411
O 0.225 0.387 0.503
O 0.725 0.613 0.497
O 0.461 0.627 0.631
O 0.137 0.749 0.346
O 0.847 0.736 0.326
O 0.155 0.385 0.718
O 0.975 0.974 0.746
O 0.655 0.615 0.282
O 0.439 0.554 0.341
O 0.661 0.689 0.960
O 0.818 0.161 0.357
O 0.102 0.833 0.129
O 0.532 0.888 0.616
O 0.602 0.167 0.871
O 0.648 0.845 0.371
O 0.918 0.711 0.795
S 0.430 0.787 0.586
S 0.225 0.300 0.626
S 0.725 0.700 0.374
S 0.920 0.839 0.690
S 0.182 0.740 0.218
S 0.050 0.247 0.993
S 0.682 0.260 0.782
S 0.550 0.753 0.007
S 0.930 0.213 0.414
S 0.420 0.161 0.310
H 0.940 0.528 0.714
H 0.440 0.472 0.286
Hf 0.486 0.772 0.269
Hf 0.986 0.228 0.731
CELL_PARAMETERS angstrom
11.069 0.000 0.000
0.000 8.789 0.000
0.000 1.238 10.752

# 3
! Mg6CrW, relaxed, DFT PBE-GGA; values from VASP
! * E above lowest polymorph: 57 meV per atom
! * total moment: 0.347 μB/atom
! * ΔH_f (0 K): 3.2 eV/f.u.
! * DFT total energy: -3.627 eV per atom
&SYSTEM
  ibrav = 0, nat = 16, ntyp = 3
/
ATOMIC_SPECIES
Mg 24.30 Mg.upf
W 183.84 W.upf
Cr 52.00 Cr.upf
ATOMIC_POSITIONS crystal
Mg 0.500 0.750 0.921
Mg 0.000 0.000 0.822
Mg 0.000 0.243 0.586
Mg 0.000 0.757 0.586
Mg 0.500 0.750 0.421
Mg 0.000 0.257 0.086
Mg 0.000 0.500 0.822
Mg 0.500 0.250 0.921
Mg 0.000 0.500 0.322
Mg 0.000 0.000 0.322
Mg 0.000 0.743 0.086
Mg 0.500 0.250 0.421
W 0.500 0.000 0.673
W 0.500 0.500 0.173
Cr 0.500 0.000 0.169
Cr 0.500 0.500 0.669
CELL_PARAMETERS angstrom
-2.737 2.325 -3.372
-1.548 -5.162 -2.303
-8.508 -0.405 6.626

# 4
! CeSbO3, relaxed, DFT PBE-GGA; values from VASP
! * MP2020-corrected energy: -7.4641 eV/atom
! * total moment: 0.035 μB/atom
! * SG: Fd-3m, No. 227
! * ΔH_f (0 K): -12.4 eV/f.u.
! * DFT total energy: -7.052 eV per atom
&SYSTEM
  ibrav = 0, nat = 20, ntyp = 3
/
ATOMIC_SPECIES
O 16.00 O.upf
Sb 121.76 Sb.upf
Ce 140.12 Ce.upf
ATOMIC_POSITIONS crystal
O 0.518 0.518 0.982
O 0.732 0.732 0.268
O 0.268 0.268 0.732
O 0.982 0.518 0.982
O 0.982 0.982 0.518
O 0.982 0.518 0.518
O 0.518 0.982 0.518
O 0.518 0.982 0.982
O 0.268 0.732 0.732
O 0.268 0.732 0.268
O 0.732 0.268 0.268
O 0.732 0.268 0.732
Sb 0.125 0.125 0.625
Sb 0.125 0.625 0.125
Sb 0.125 0.125 0.125
Sb 0.625 0.125 0.125
Ce 0.625 0.125 0.625
Ce 0.125 0.625 0.625
Ce 0.625 0.625 0.625
Ce 0.625 0.625 0.125
CELL_PARAMETERS angstrom
0.000 5.493 5.493
5.493 0.000 5.493
5.493 5.493 0.000

# 5
! CaPbI4, relaxed, DFT PBE-GGA; values from VASP
! * MP2020-corrected energy: -3.3758 eV/atom
! * SG: Pmn2_1, No. 31
! * ΔH_f (0 K): -8.4 eV/f.u.
! * DFT total energy: -3.123 eV per atom
&SYSTEM
  ibrav = 0, nat = 24, ntyp = 3
/
ATOMIC_SPECIES
I 126.90 I.upf
Pb 207.20 Pb.upf
Ca 40.08 Ca.upf
ATOMIC_POSITIONS crystal
I 0.500 0.619 0.651
I 0.500 0.885 0.936
I 0.000 0.111 0.849
I 0.500 0.377 0.826
I 0.000 0.617 0.902
I 0.000 0.877 0.174
I 0.000 0.119 0.349
I 0.500 0.118 0.610
I 0.000 0.385 0.064
I 0.500 0.611 0.151
I 0.000 0.879 0.688
I 0.000 0.375 0.564
I 0.000 0.618 0.390
I 0.500 0.379 0.312
I 0.500 0.875 0.436
I 0.500 0.117 0.098
Pb 0.000 0.999 0.519
Pb 0.500 0.994 0.265
Pb 0.500 0.499 0.481
Pb 0.000 0.494 0.735
Ca 0.000 0.002 0.016
Ca 0.500 0.502 0.984
Ca 0.500 0.994 0.769
Ca 0.000 0.494 0.231
CELL_PARAMETERS angstrom
-2.331 3.832 -1.114
2.055 -3.054 -14.806
-13.690 -8.379 -0.172

# 6
! Mg9Si5, relaxed, DFT PBE-GGA; values from VASP
! * MP2020-corrected energy: -3.0495 eV/atom
! * E above lowest polymorph: 0 meV per atom
! * SG: P6_3/m, No. 176
! * ΔH_f (0 K): -1.2 eV/f.u.
! * DFT total energy: -3.075 eV per atom
&SYSTEM
  ibrav = 0, nat = 28, ntyp = 2
/
ATOMIC_SPECIES
Mg 24.30 Mg.upf
Si 28.09 Si.upf
ATOMIC_POSITIONS crystal
Mg 0.406 0.321 0.083
Mg 0.594 0.679 0.917
Mg 0.072 0.346 0.250
Mg 0.915 0.594 0.417
Mg 0.915 0.594 0.083
Mg 0.679 0.085 0.083
Mg 0.321 0.915 0.917
Mg 0.274 0.928 0.250
Mg 0.406 0.321 0.417
Mg 0.928 0.654 0.750
Mg 0.679 0.085 0.417
Mg 0.085 0.406 0.583
Mg 0.346 0.274 0.750
Mg 0.594 0.679 0.583
Mg 0.321 0.915 0.583
Mg 0.085 0.406 0.917
Mg 0.654 0.726 0.250
Mg 0.726 0.072 0.750
Si 0.000 0.000 0.898
Si 0.333 0.667 0.750
Si 0.000 0.000 0.102
Si 0.667 0.333 0.588
Si 0.000 0.000 0.602
Si 0.667 0.333 0.250
Si 0.667 0.333 0.912
Si 0.333 0.667 0.088
Si 0.333 0.667 0.412
Si 0.000 0.000 0.398
CELL_PARAMETERS angstrom
-2.779 2.379 -6.177
1.809 -6.912 0.696
-11.304 -2.544 4.107

# 7
! Er3Ga9Pt2, relaxed, DFT PBE-GGA; values from VASP
! * total moment: 0.000 μB/atom
! * SG: Immm, No. 71
! * ΔH_f (0 K): -9.2 eV/f.u.
! * DFT total energy: -4.450 eV per atom
&SYSTEM
  ibrav = 0, nat = 14, ntyp = 3
/
ATOMIC_SPECIES
Ga 69.72 Ga.upf
Pt 195.08 Pt.upf
Er 167.26 Er.upf
ATOMIC_POSITIONS crystal
Ga 0.714 0.343 0.370
Ga 0.854 0.137 0.717
Ga 0.421 0.137 0.283
Ga 0.579 0.863 0.717
Ga 0.146 0.863 0.283
Ga 0.286 0.657 0.630
Ga 0.973 0.343 0.630
Ga 0.027 0.657 0.370
Ga 0.500 0.000 0.500
Pt 0.307 0.500 0.807
Pt 0.693 0.500 0.193
Er 0.694 0.694 0.000
Er 0.000 0.000 0.000
Er 0.306 0.306 0.000
CELL_PARAMETERS angstrom
-2.121 4.878 6.178
2.121 -4.878 6.178
2.121 4.878 -6.178

Which of these has the lowest ΔH_f (0 K)? Na6HfHS5O21

DFT total energy of number 6 (Mg9Si5)? -3.075 eV per atom

DFT total energy of number 4 (CeSbO3)? -7.052 eV per atom

ΔH_f (0 K) of number 3 (Mg6CrW)? 3.2 eV/f.u.